Model one:
Pr2S3O20 | PBE | relaxed

Unit cell a=7.396 b=7.396 c=18.242 alpha=84.74 beta=84.74 gamma=54.51
Fractional coordinates of all 50 atoms:
O (0.227, 0.087, 0.489)
O (0.414, 0.073, 0.908)
O (0.545, 0.902, 0.614)
O (0.586, 0.927, 0.092)
O (0.098, 0.455, 0.886)
O (0.156, 0.829, 0.877)
O (0.087, 0.227, 0.989)
O (0.500, 0.593, 0.305)
O (0.073, 0.414, 0.408)
O (0.247, 0.640, 0.463)
O (0.500, 0.407, 0.695)
O (0.067, 0.163, 0.861)
O (0.640, 0.247, 0.963)
O (0.668, 0.526, 0.495)
O (0.837, 0.933, 0.639)
O (0.752, 0.666, 0.792)
O (0.773, 0.913, 0.511)
O (0.753, 0.360, 0.537)
O (0.474, 0.332, 0.005)
O (0.332, 0.474, 0.505)
O (0.913, 0.773, 0.011)
O (0.171, 0.844, 0.623)
O (0.248, 0.334, 0.208)
O (0.120, 0.722, 0.290)
O (0.455, 0.098, 0.386)
O (0.844, 0.171, 0.123)
O (0.360, 0.753, 0.037)
O (0.927, 0.586, 0.592)
O (0.722, 0.120, 0.790)
O (0.163, 0.067, 0.361)
O (0.829, 0.156, 0.377)
O (0.407, 0.500, 0.195)
O (0.278, 0.880, 0.210)
O (0.526, 0.668, 0.995)
O (0.902, 0.545, 0.114)
O (0.334, 0.248, 0.708)
O (0.593, 0.500, 0.805)
O (0.880, 0.278, 0.710)
O (0.933, 0.837, 0.139)
O (0.666, 0.752, 0.292)
Pr (0.153, 0.194, 0.616)
Pr (0.194, 0.153, 0.116)
Pr (0.847, 0.806, 0.384)
Pr (0.806, 0.847, 0.884)
S (0.226, 0.167, 0.411)
S (0.326, 0.674, 0.250)
S (0.833, 0.774, 0.089)
S (0.167, 0.226, 0.911)
S (0.674, 0.326, 0.750)
S (0.774, 0.833, 0.589)

Summary:
size of the total moment	24.01	μB per cell

---

Model two:
Pr2S3O20 | PBE | relaxed

Unit cell a=6.568 b=6.568 c=20.267 alpha=86.69 beta=86.69 gamma=61.52
Fractional coordinates of all 50 atoms:
O (0.951, 0.995, 0.617)
O (0.616, 0.984, 0.097)
O (0.909, 0.871, 0.008)
O (0.908, 0.684, 0.790)
O (0.984, 0.616, 0.597)
O (0.471, 0.130, 0.404)
O (0.101, 0.481, 0.408)
O (0.426, 0.512, 0.212)
O (0.514, 0.409, 0.540)
O (0.109, 0.109, 0.401)
O (0.694, 0.420, 0.545)
O (0.995, 0.951, 0.117)
O (0.871, 0.909, 0.508)
O (0.610, 0.963, 0.604)
O (0.160, 0.407, 0.222)
O (0.512, 0.426, 0.712)
O (0.190, 0.890, 0.802)
O (0.341, 0.915, 0.209)
O (0.648, 0.564, 0.799)
O (0.890, 0.190, 0.302)
O (0.150, 0.781, 0.293)
O (0.207, 0.217, 0.001)
O (0.217, 0.207, 0.501)
O (0.564, 0.648, 0.299)
O (0.409, 0.514, 0.040)
O (0.781, 0.150, 0.793)
O (0.684, 0.908, 0.290)
O (0.308, 0.806, 0.594)
O (0.963, 0.610, 0.104)
O (0.130, 0.471, 0.904)
O (0.109, 0.109, 0.901)
O (0.635, 0.622, 0.958)
O (0.441, 0.625, 0.452)
O (0.915, 0.341, 0.709)
O (0.407, 0.160, 0.722)
O (0.622, 0.635, 0.458)
O (0.625, 0.441, 0.952)
O (0.481, 0.101, 0.908)
O (0.806, 0.308, 0.094)
O (0.420, 0.694, 0.045)
S (0.225, 0.233, 0.428)
S (0.855, 0.865, 0.580)
S (0.865, 0.855, 0.080)
S (0.371, 0.715, 0.253)
S (0.233, 0.225, 0.928)
S (0.715, 0.371, 0.753)
Pr (0.206, 0.193, 0.121)
Pr (0.193, 0.206, 0.621)
Pr (0.896, 0.893, 0.888)
Pr (0.893, 0.896, 0.388)

Summary:
size of the total moment	20.01	μB per cell

---

In terms of stability, model two leads; the second structure lies 33 meV per atom higher.

---

Model one:
Pr2SbO2 | PBE | relaxed

Unit cell a=4.048 b=4.048 c=7.190 alpha=75.06 beta=75.06 gamma=90.01
Fractional coordinates of all 5 atoms:
Sb (0.000, 0.000, 0.000)
O (0.250, 0.750, 0.500)
O (0.750, 0.250, 0.500)
Pr (0.329, 0.329, 0.323)
Pr (0.671, 0.671, 0.677)

Summary:
size of the total moment	0.00	μB per cell

---

Model two:
Pr2SbO2 | PBE | relaxed

Unit cell a=7.538 b=7.538 c=7.538 alpha=148.98 beta=148.98 gamma=44.44
Fractional coordinates of all 5 atoms:
Pr (0.337, 0.337, 0.000)
Pr (0.663, 0.663, 0.000)
O (0.750, 0.250, 0.500)
O (0.250, 0.750, 0.500)
Sb (0.000, 0.000, 0.000)

---

In terms of stability, model two leads; the second structure lies 16 meV per atom higher.

---

Model one:
PrYSi2O7 | PBE | relaxed

Unit cell a=6.144 b=10.737 c=11.166 alpha=90.00 beta=102.97 gamma=90.00
Fractional coordinates of all 44 atoms:
Si (0.238, 0.651, 0.523)
Si (0.455, 0.794, 0.339)
Si (0.045, 0.294, 0.161)
Si (0.738, 0.849, 0.023)
Si (0.955, 0.706, 0.839)
Si (0.262, 0.151, 0.977)
Si (0.762, 0.349, 0.477)
Si (0.545, 0.206, 0.661)
O (0.088, 0.723, 0.603)
O (0.764, 0.249, 0.768)
O (0.994, 0.440, 0.175)
O (0.584, 0.929, 0.912)
O (0.110, 0.267, 0.020)
O (0.610, 0.233, 0.520)
O (0.006, 0.560, 0.825)
O (0.421, 0.553, 0.596)
O (0.236, 0.751, 0.232)
O (0.506, 0.940, 0.325)
O (0.736, 0.749, 0.732)
O (0.579, 0.447, 0.404)
O (0.180, 0.794, 0.860)
O (0.079, 0.053, 0.904)
O (0.390, 0.767, 0.480)
O (0.416, 0.071, 0.088)
O (0.680, 0.706, 0.360)
O (0.890, 0.733, 0.980)
O (0.412, 0.223, 0.897)
O (0.912, 0.277, 0.397)
O (0.084, 0.571, 0.412)
O (0.264, 0.251, 0.268)
O (0.494, 0.060, 0.675)
O (0.921, 0.947, 0.096)
O (0.320, 0.294, 0.640)
O (0.820, 0.206, 0.140)
O (0.588, 0.777, 0.103)
O (0.916, 0.429, 0.588)
Y (0.246, 0.877, 0.054)
Y (0.754, 0.123, 0.946)
Y (0.254, 0.377, 0.446)
Y (0.746, 0.623, 0.554)
Pr (0.603, 0.136, 0.284)
Pr (0.397, 0.864, 0.716)
Pr (0.103, 0.364, 0.784)
Pr (0.897, 0.636, 0.216)

Summary:
size of the total moment	0.00	μB per cell

---

Model two:
PrYSi2O7 | PBE | relaxed

Unit cell a=6.436 b=8.990 c=11.565 alpha=89.08 beta=95.29 gamma=90.83
Fractional coordinates of all 44 atoms:
Si (0.834, 0.322, 0.486)
Si (0.479, 0.896, 0.425)
Si (0.688, 0.826, 0.043)
Si (0.521, 0.104, 0.575)
Si (0.312, 0.174, 0.957)
Si (0.016, 0.385, 0.060)
Si (0.166, 0.678, 0.514)
Si (0.984, 0.615, 0.940)
O (0.343, 0.549, 0.548)
O (0.447, 0.992, 0.306)
O (0.657, 0.451, 0.452)
O (0.553, 0.008, 0.694)
O (0.034, 0.448, 0.189)
O (0.966, 0.552, 0.811)
O (0.650, 0.765, 0.441)
O (0.217, 0.336, 0.994)
O (0.002, 0.793, 0.232)
O (0.267, 0.843, 0.482)
O (0.136, 0.045, 0.915)
O (0.537, 0.774, 0.142)
O (0.172, 0.736, 0.963)
O (0.783, 0.664, 0.006)
O (0.967, 0.281, 0.379)
O (0.420, 0.101, 0.079)
O (0.489, 0.629, 0.751)
O (0.998, 0.207, 0.768)
O (0.511, 0.371, 0.249)
O (0.463, 0.226, 0.858)
O (0.350, 0.235, 0.559)
O (0.941, 0.400, 0.604)
O (0.033, 0.719, 0.621)
O (0.733, 0.157, 0.518)
O (0.864, 0.955, 0.085)
O (0.828, 0.264, 0.037)
O (0.059, 0.600, 0.396)
O (0.580, 0.899, 0.921)
Y (0.711, 0.605, 0.615)
Y (0.775, 0.108, 0.882)
Y (0.225, 0.892, 0.118)
Y (0.289, 0.395, 0.385)
Pr (0.246, 0.404, 0.727)
Pr (0.309, 0.831, 0.780)
Pr (0.691, 0.169, 0.220)
Pr (0.754, 0.596, 0.273)

Summary:
size of the total moment	0.99	μB per cell

---

Model three:
PrYSi2O7 | PBE | relaxed

Unit cell a=5.589 b=9.507 c=11.728 alpha=90.00 beta=92.37 gamma=90.00
Fractional coordinates of all 44 atoms:
O (0.592, 0.850, 0.686)
O (0.390, 0.095, 0.063)
O (0.542, 0.699, 0.492)
O (0.386, 0.257, 0.881)
O (0.890, 0.405, 0.563)
O (0.458, 0.301, 0.508)
O (0.616, 0.460, 0.352)
O (0.555, 0.121, 0.687)
O (0.384, 0.540, 0.648)
O (0.114, 0.757, 0.619)
O (0.610, 0.905, 0.937)
O (0.884, 0.960, 0.148)
O (0.709, 0.999, 0.483)
O (0.116, 0.040, 0.852)
O (0.791, 0.499, 0.017)
O (0.055, 0.379, 0.187)
O (0.408, 0.150, 0.314)
O (0.092, 0.650, 0.186)
O (0.042, 0.801, 0.992)
O (0.958, 0.199, 0.008)
O (0.291, 0.001, 0.517)
O (0.908, 0.350, 0.814)
O (0.886, 0.243, 0.381)
O (0.614, 0.743, 0.119)
O (0.445, 0.879, 0.313)
O (0.110, 0.595, 0.437)
O (0.945, 0.621, 0.813)
O (0.209, 0.501, 0.983)
Y (0.218, 0.375, 0.362)
Y (0.718, 0.125, 0.862)
Y (0.782, 0.625, 0.638)
Y (0.282, 0.875, 0.138)
Pr (0.751, 0.192, 0.183)
Pr (0.249, 0.808, 0.817)
Pr (0.749, 0.692, 0.317)
Pr (0.251, 0.308, 0.683)
Si (0.286, 0.654, 0.543)
Si (0.453, 0.015, 0.399)
Si (0.786, 0.846, 0.043)
Si (0.214, 0.154, 0.957)
Si (0.714, 0.346, 0.457)
Si (0.547, 0.985, 0.601)
Si (0.953, 0.485, 0.899)
Si (0.047, 0.515, 0.101)

Summary:
size of the total moment	0.00	μB per cell

---

In terms of stability, model one leads; the second structure lies 114 meV per atom higher.

---

Model one:
Rb3Se2O8 | PBE | relaxed

Unit cell a=6.192 b=8.559 c=10.613 alpha=101.56 beta=90.00 gamma=111.21
Fractional coordinates of all 26 atoms:
Rb (0.753, 0.000, 0.750)
Rb (0.031, 0.613, 0.848)
Rb (0.969, 0.387, 0.152)
Rb (0.418, 0.387, 0.652)
Rb (0.582, 0.613, 0.348)
Rb (0.247, 0.000, 0.250)
O (0.181, 0.257, 0.891)
O (0.321, 0.011, 0.940)
O (0.120, 0.690, 0.378)
O (0.648, 0.308, 0.895)
O (0.690, 0.011, 0.440)
O (0.679, 0.989, 0.060)
O (0.339, 0.692, 0.605)
O (0.661, 0.308, 0.395)
O (0.570, 0.690, 0.878)
O (0.924, 0.743, 0.609)
O (0.880, 0.310, 0.622)
O (0.310, 0.989, 0.560)
O (0.430, 0.310, 0.122)
O (0.076, 0.257, 0.391)
O (0.352, 0.692, 0.105)
O (0.819, 0.743, 0.109)
Se (0.401, 0.229, 0.964)
Se (0.599, 0.771, 0.036)
Se (0.172, 0.771, 0.536)
Se (0.828, 0.229, 0.464)

Summary:
size of the total moment	2.00	μB per cell

---

Model two:
Rb3Se2O8 | PBE | relaxed

Unit cell a=8.439 b=8.439 c=8.439 alpha=42.98 beta=42.98 gamma=42.98
Fractional coordinates of all 13 atoms:
Se (0.409, 0.409, 0.409)
Se (0.591, 0.591, 0.591)
O (0.284, 0.729, 0.284)
O (0.336, 0.336, 0.336)
O (0.716, 0.271, 0.716)
O (0.271, 0.716, 0.716)
O (0.284, 0.284, 0.729)
O (0.729, 0.284, 0.284)
O (0.664, 0.664, 0.664)
O (0.716, 0.716, 0.271)
Rb (0.796, 0.796, 0.796)
Rb (0.204, 0.204, 0.204)
Rb (0.000, 0.000, 0.000)

Summary:
size of the total moment	1.00	μB per cell

---

In terms of stability, model one leads; the second structure lies 6 meV per atom higher.

---

Model one:
Rb3TmO3 | PBE | relaxed

Unit cell a=7.361 b=7.962 c=11.713 alpha=85.75 beta=90.00 gamma=90.00
Fractional coordinates of all 28 atoms:
Rb (0.169, 0.358, 0.579)
Rb (0.879, 0.933, 0.655)
Rb (0.331, 0.358, 0.079)
Rb (0.621, 0.933, 0.155)
Rb (0.696, 0.375, 0.692)
Rb (0.121, 0.067, 0.345)
Rb (0.196, 0.625, 0.808)
Rb (0.831, 0.642, 0.421)
Rb (0.669, 0.642, 0.921)
Rb (0.804, 0.375, 0.192)
Rb (0.379, 0.067, 0.845)
Rb (0.304, 0.625, 0.308)
O (0.352, 0.748, 0.043)
O (0.551, 0.895, 0.405)
O (0.441, 0.309, 0.312)
O (0.852, 0.252, 0.457)
O (0.449, 0.105, 0.595)
O (0.059, 0.309, 0.812)
O (0.941, 0.691, 0.188)
O (0.648, 0.252, 0.957)
O (0.148, 0.748, 0.543)
O (0.051, 0.105, 0.095)
O (0.949, 0.895, 0.905)
O (0.559, 0.691, 0.688)
Tm (0.588, 0.160, 0.433)
Tm (0.088, 0.840, 0.067)
Tm (0.412, 0.840, 0.567)
Tm (0.912, 0.160, 0.933)

---

Model two:
Rb3TmO3 | PBE | relaxed

Unit cell a=7.324 b=7.324 c=7.240 alpha=85.17 beta=85.17 gamma=116.65
Fractional coordinates of all 14 atoms:
Tm (0.175, 0.175, 0.852)
Tm (0.825, 0.825, 0.148)
Rb (0.364, 0.364, 0.356)
Rb (0.261, 0.739, 0.000)
Rb (0.739, 0.261, 0.000)
Rb (0.636, 0.636, 0.644)
Rb (0.206, 0.794, 0.500)
Rb (0.794, 0.206, 0.500)
O (0.897, 0.897, 0.846)
O (0.441, 0.166, 0.733)
O (0.834, 0.559, 0.267)
O (0.166, 0.441, 0.733)
O (0.103, 0.103, 0.154)
O (0.559, 0.834, 0.267)

---

In terms of stability, model one leads; the second structure lies 9 meV per atom higher.